# 1
VASP calculation (GGA+U) on a relaxed MgCr2O4 crystal.

Geometry as POSCAR:
```
MgCr2O4
1.0
4.9785 0.0000 0.0000
0.0000 2.9633 0.0000
-0.2422 0.0000 5.0096
Mg Cr O
1 2 4
Direct
0.0000 0.0000 0.0000
0.0000 0.0000 0.5000
0.5000 0.5000 0.0000
0.1548 0.5000 0.2608
0.3179 0.0000 0.7895
0.6821 0.0000 0.2105
0.8452 0.5000 0.7392
```

Calculated values
Space group: P2/m
Offset from the most stable computed form, eV/atom: 0.322
Formation enthalpy at 0 K, eV per atom: -2.31


# 2
VASP calculation (GGA+U) on a relaxed SrLaTiFeO6 crystal.

Geometry as POSCAR:
```
SrLaTiFeO6
1.0
0.0000 3.0945 8.8632
3.0885 0.0000 8.8632
3.0885 3.0945 0.0000
Sr La Ti Fe O
1 1 1 1 6
Direct
0.0000 0.0000 0.0000
0.6147 0.6147 0.3853
0.3076 0.3076 0.6924
0.8097 0.8097 0.1903
0.0009 0.4970 0.9991
0.0639 0.0639 0.4361
0.1243 0.6107 0.3893
0.4970 0.0009 0.5030
0.5639 0.5639 0.9361
0.6107 0.1243 0.8757
```

Calculated values
Space group: Fmm2
Offset from the most stable computed form, eV/atom: 0.165
Formation enthalpy at 0 K, eV per atom: -2.99


# 3
VASP calculation (GGA+U) on a relaxed V2GeO4F2 crystal.

Geometry as POSCAR:
```
V2GeO4F2
1.0
9.5038 0.0000 0.0000
0.0000 9.1485 0.0000
0.0000 0.0000 4.9776
V Ge O F
8 4 16 8
Direct
0.1298 0.0840 0.0958
0.1298 0.4160 0.0958
0.3702 0.5840 0.5958
0.3702 0.9160 0.5958
0.6298 0.0840 0.4042
0.6298 0.4160 0.4042
0.8702 0.5840 0.9042
0.8702 0.9160 0.9042
0.0619 0.7500 0.3954
0.4381 0.2500 0.8954
0.5619 0.7500 0.1046
0.9381 0.2500 0.6046
0.0078 0.5905 0.2146
0.0078 0.9095 0.2146
0.0263 0.2500 0.2901
0.2484 0.7500 0.4502
0.2516 0.2500 0.9502
0.4737 0.7500 0.7901
0.4922 0.0905 0.7146
0.4922 0.4095 0.7146
0.5078 0.5905 0.2854
0.5078 0.9095 0.2854
0.5263 0.2500 0.2099
0.7484 0.7500 0.0498
0.7516 0.2500 0.5498
0.9737 0.7500 0.7099
0.9922 0.0905 0.7854
0.9922 0.4095 0.7854
0.2486 0.5640 0.9113
0.2486 0.9360 0.9113
0.2514 0.0640 0.4113
0.2514 0.4360 0.4113
0.7486 0.5640 0.5887
0.7486 0.9360 0.5887
0.7514 0.0640 0.0887
0.7514 0.4360 0.0887
```

Calculated values
Space group: Pnma
Formation enthalpy at 0 K, eV per atom: -2.63


# 4
VASP calculation (GGA+U) on a relaxed KFe3S2O14 crystal.

Geometry as POSCAR:
```
KFe3S2O14
1.0
3.4997 2.0205 6.4849
-3.4997 2.0205 6.4849
0.0000 -4.0411 6.4849
K Fe S O
1 3 2 14
Direct
0.0000 0.0000 0.0000
0.5138 0.9972 0.9972
0.9972 0.5138 0.9972
0.9972 0.9972 0.5138
0.2972 0.2972 0.2972
0.7043 0.7043 0.7043
0.1144 0.7292 0.7292
0.1540 0.1540 0.5044
0.1540 0.5044 0.1540
0.2513 0.2513 0.9173
0.2513 0.9173 0.2513
0.3715 0.3715 0.3715
0.4985 0.8475 0.8475
0.5044 0.1540 0.1540
0.6299 0.6299 0.6299
0.7292 0.1144 0.7292
0.7292 0.7292 0.1144
0.8475 0.4985 0.8475
0.8475 0.8475 0.4985
0.9173 0.2513 0.2513
```

Calculated values
Space group: R3m
Formation enthalpy at 0 K, eV per atom: -1.39


# 5
VASP calculation (GGA+U) on a relaxed MgMnCd6O8 crystal.

Geometry as POSCAR:
```
MgMnCd6O8
1.0
0.0000 4.7107 4.7107
4.7107 0.0000 4.7107
4.7107 4.7107 0.0000
Mg Mn Cd O
1 1 6 8
Direct
0.0000 0.0000 0.0000
0.5000 0.5000 0.5000
0.0000 0.0000 0.5000
0.0000 0.5000 0.0000
0.0000 0.5000 0.5000
0.5000 0.0000 0.0000
0.5000 0.0000 0.5000
0.5000 0.5000 0.0000
0.2450 0.2450 0.7550
0.2450 0.7550 0.2450
0.2450 0.7550 0.7550
0.2500 0.2500 0.2500
0.7500 0.7500 0.7500
0.7550 0.2450 0.2450
0.7550 0.2450 0.7550
0.7550 0.7550 0.2450
```

Calculated values
Space group: Fm-3m
Formation enthalpy at 0 K, eV per atom: -1.59


# 6
VASP calculation (GGA+U) on a relaxed V6H2Pb4Se3O26 crystal.

Geometry as POSCAR:
```
V6H2Pb4Se3O26
1.0
7.2457 0.0000 0.0000
0.0000 21.7430 0.0000
-0.6414 0.0000 7.4065
V H Pb Se O
12 4 8 6 52
Direct
0.0200 0.0000 0.3359
0.1013 0.7011 0.3056
0.1550 0.0853 0.7004
0.1849 0.7851 0.6822
0.3503 0.5819 0.3549
0.3980 0.2038 0.6309
0.6020 0.7038 0.3691
0.6497 0.0819 0.6451
0.8151 0.2851 0.3178
0.8450 0.5853 0.2996
0.8987 0.2011 0.6944
0.9800 0.5000 0.6641
0.4525 0.1493 0.1982
0.4776 0.1463 0.9989
0.5224 0.6463 0.0011
0.5475 0.6493 0.8018
0.0639 0.4424 0.1718
0.2857 0.8431 0.1959
0.2904 0.2818 0.1097
0.4761 0.5112 0.8758
0.5239 0.0112 0.1242
0.7096 0.7818 0.8903
0.7143 0.3431 0.8041
0.9361 0.9424 0.8282
0.0186 0.6446 0.8124
0.2139 0.3686 0.6674
0.4262 0.9179 0.6892
0.5738 0.4179 0.3108
0.7861 0.8686 0.3326
0.9814 0.1446 0.1876
0.0082 0.8225 0.7717
0.0604 0.0886 0.3529
0.0945 0.4307 0.5497
0.0991 0.6093 0.2924
0.1002 0.0126 0.6025
0.1001 0.3627 0.8601
0.1002 0.6990 0.6598
0.1085 0.7254 0.0965
0.1349 0.7733 0.4179
0.1358 0.5021 0.8518
0.1526 0.1808 0.6841
0.1870 0.1748 0.1460
0.2067 0.0654 0.9124
0.2118 0.9686 0.2639
0.3066 0.8562 0.5716
0.3212 0.9213 0.8874
0.3363 0.5472 0.5529
0.3518 0.5264 0.1904
0.3524 0.6741 0.3631
0.3590 0.7767 0.8451
0.3597 0.3844 0.2472
0.3724 0.2390 0.4328
0.3927 0.1070 0.6324
0.4215 0.4038 0.7399
0.4415 0.2597 0.7914
0.4586 0.6345 0.8849
0.5414 0.1345 0.1151
0.5585 0.7597 0.2086
0.5785 0.9038 0.2601
0.6073 0.6070 0.3676
0.6276 0.7390 0.5672
0.6403 0.8844 0.7528
0.6410 0.2767 0.1549
0.6482 0.0264 0.8096
0.6476 0.1741 0.6369
0.6637 0.0472 0.4471
0.6788 0.4213 0.1126
0.6934 0.3562 0.4284
0.7882 0.4686 0.7361
0.7933 0.5654 0.0876
0.8130 0.6748 0.8540
0.8474 0.6808 0.3159
0.8642 0.0021 0.1482
0.8651 0.2733 0.5821
0.8915 0.2254 0.9035
0.8998 0.1990 0.3402
0.8998 0.5126 0.3975
0.8999 0.8627 0.1399
0.9009 0.1093 0.7076
0.9055 0.9307 0.4503
0.9396 0.5886 0.6471
0.9918 0.3225 0.2283
```

Calculated values
Space group: P2_1
Offset from the most stable computed form, eV/atom: 0.007
Formation enthalpy at 0 K, eV per atom: -1.89


# 7
VASP calculation (GGA+U) on a relaxed Na3FeSiCO7 crystal.

Geometry as POSCAR:
```
Na3FeSiCO7
1.0
5.2542 0.0000 0.0000
0.0000 6.6127 0.0000
-0.1053 0.0000 9.0117
Na Fe Si C O
6 2 2 2 14
Direct
0.2378 0.2500 0.0878
0.2561 0.5078 0.7344
0.2561 0.9922 0.7344
0.7439 0.0078 0.2656
0.7439 0.4922 0.2656
0.7622 0.7500 0.9122
0.2099 0.7500 0.3555
0.7901 0.2500 0.6445
0.2931 0.2500 0.4201
0.7069 0.7500 0.5799
0.2665 0.7500 0.0624
0.7335 0.2500 0.9376
0.0418 0.7500 0.1221
0.1408 0.2500 0.5777
0.2253 0.0511 0.3166
0.2253 0.4489 0.3166
0.2919 0.7500 0.9200
0.3967 0.7500 0.5430
0.4648 0.7500 0.1508
0.5352 0.2500 0.8492
0.6033 0.2500 0.4570
0.7081 0.2500 0.0800
0.7747 0.5511 0.6834
0.7747 0.9489 0.6834
0.8592 0.7500 0.4223
0.9582 0.2500 0.8779
```

Calculated values
Space group: P2_1/m
Formation enthalpy at 0 K, eV per atom: -2.30


# 8
VASP calculation (GGA+U) on a relaxed MnSi2O6 crystal.

Geometry as POSCAR:
```
MnSi2O6
1.0
4.7492 -4.2789 0.0000
4.7492 4.2789 0.0000
-1.8438 0.0000 5.0019
Mn Si O
2 4 12
Direct
0.0930 0.9070 0.7500
0.9070 0.0930 0.2500
0.2127 0.3916 0.7482
0.3916 0.2127 0.2482
0.6084 0.7873 0.7518
0.7873 0.6084 0.2518
0.0348 0.1915 0.6361
0.0897 0.6285 0.7884
0.1915 0.0348 0.1361
0.3585 0.3608 0.0346
0.3608 0.3585 0.5346
0.3715 0.9103 0.7116
0.6285 0.0897 0.2884
0.6392 0.6415 0.4654
0.6415 0.6392 0.9654
0.8085 0.9652 0.8639
0.9103 0.3715 0.2116
0.9652 0.8085 0.3639
```

Calculated values
Space group: C2/c
Offset from the most stable computed form, eV/atom: 0.000
Formation enthalpy at 0 K, eV per atom: -2.67


What did the sixth record say?
VASP calculation (GGA+U) on a relaxed V6H2Pb4Se3O26 crystal.

Geometry as POSCAR:
```
V6H2Pb4Se3O26
1.0
7.2457 0.0000 0.0000
0.0000 21.7430 0.0000
-0.6414 0.0000 7.4065
V H Pb Se O
12 4 8 6 52
Direct
0.0200 0.0000 0.3359
0.1013 0.7011 0.3056
0.1550 0.0853 0.7004
0.1849 0.7851 0.6822
0.3503 0.5819 0.3549
0.3980 0.2038 0.6309
0.6020 0.7038 0.3691
0.6497 0.0819 0.6451
0.8151 0.2851 0.3178
0.8450 0.5853 0.2996
0.8987 0.2011 0.6944
0.9800 0.5000 0.6641
0.4525 0.1493 0.1982
0.4776 0.1463 0.9989
0.5224 0.6463 0.0011
0.5475 0.6493 0.8018
0.0639 0.4424 0.1718
0.2857 0.8431 0.1959
0.2904 0.2818 0.1097
0.4761 0.5112 0.8758
0.5239 0.0112 0.1242
0.7096 0.7818 0.8903
0.7143 0.3431 0.8041
0.9361 0.9424 0.8282
0.0186 0.6446 0.8124
0.2139 0.3686 0.6674
0.4262 0.9179 0.6892
0.5738 0.4179 0.3108
0.7861 0.8686 0.3326
0.9814 0.1446 0.1876
0.0082 0.8225 0.7717
0.0604 0.0886 0.3529
0.0945 0.4307 0.5497
0.0991 0.6093 0.2924
0.1002 0.0126 0.6025
0.1001 0.3627 0.8601
0.1002 0.6990 0.6598
0.1085 0.7254 0.0965
0.1349 0.7733 0.4179
0.1358 0.5021 0.8518
0.1526 0.1808 0.6841
0.1870 0.1748 0.1460
0.2067 0.0654 0.9124
0.2118 0.9686 0.2639
0.3066 0.8562 0.5716
0.3212 0.9213 0.8874
0.3363 0.5472 0.5529
0.3518 0.5264 0.1904
0.3524 0.6741 0.3631
0.3590 0.7767 0.8451
0.3597 0.3844 0.2472
0.3724 0.2390 0.4328
0.3927 0.1070 0.6324
0.4215 0.4038 0.7399
0.4415 0.2597 0.7914
0.4586 0.6345 0.8849
0.5414 0.1345 0.1151
0.5585 0.7597 0.2086
0.5785 0.9038 0.2601
0.6073 0.6070 0.3676
0.6276 0.7390 0.5672
0.6403 0.8844 0.7528
0.6410 0.2767 0.1549
0.6482 0.0264 0.8096
0.6476 0.1741 0.6369
0.6637 0.0472 0.4471
0.6788 0.4213 0.1126
0.6934 0.3562 0.4284
0.7882 0.4686 0.7361
0.7933 0.5654 0.0876
0.8130 0.6748 0.8540
0.8474 0.6808 0.3159
0.8642 0.0021 0.1482
0.8651 0.2733 0.5821
0.8915 0.2254 0.9035
0.8998 0.1990 0.3402
0.8998 0.5126 0.3975
0.8999 0.8627 0.1399
0.9009 0.1093 0.7076
0.9055 0.9307 0.4503
0.9396 0.5886 0.6471
0.9918 0.3225 0.2283
```

Calculated values
Space group: P2_1
Offset from the most stable computed form, eV/atom: 0.007
Formation enthalpy at 0 K, eV per atom: -1.89


- Among the records above, which one has the highest formation enthalpy at 0 K?
  KFe3S2O14